*a*
# GGA-PBE Mg3Si4, optimized geometry
# * crystal system: monoclinic
# * M_tot: 0.0 μB/cell
data_Mg3Si4
_space_group_name_H-M_alt 'C 1 m 1'
_space_group_IT_number 8
_cell_length_a 13.4717
_cell_length_b 4.6143
_cell_length_c 8.4561
_cell_angle_alpha 90.00
_cell_angle_beta 105.38
_cell_angle_gamma 90.00
loop_
_space_group_symop_operation_xyz
'x,y,z'
'x,-y,z'
'x+1/2,y+1/2,z'
'x+1/2,-y+1/2,z'
loop_
_atom_site_label
_atom_site_type_symbol
_atom_site_fract_x
_atom_site_fract_y
_atom_site_fract_z
Mg1 Mg 0.0000 0.0000 0.0000
Mg2 Mg 0.0314 0.0000 0.3594
Mg3 Mg 0.0724 0.5000 0.6084
Mg4 Mg 0.2250 0.5000 0.3934
Mg5 Mg 0.2873 0.5000 0.7890
Mg6 Mg 0.3669 0.0000 0.3660
Si1 Si 0.0329 0.5000 0.1832
Si2 Si 0.1297 0.5000 0.9615
Si3 Si 0.1420 0.0000 0.8248
Si4 Si 0.2266 0.0000 0.5867
Si5 Si 0.3074 0.5000 0.1239
Si6 Si 0.3502 0.0000 0.0270
Si7 Si 0.4087 0.0000 0.7531
Si8 Si 0.4567 0.5000 0.6463

*b*
# GGA-PBE Mg3Si4, optimized geometry
# * crystal system: triclinic
# * M_tot: 0.0 μB/cell
data_Mg3Si4
_space_group_name_H-M_alt 'P 1'
_space_group_IT_number 1
_cell_length_a 4.1336
_cell_length_b 7.7916
_cell_length_c 8.5373
_cell_angle_alpha 74.55
_cell_angle_beta 77.65
_cell_angle_gamma 89.39
loop_
_space_group_symop_operation_xyz
'x,y,z'
loop_
_atom_site_label
_atom_site_type_symbol
_atom_site_fract_x
_atom_site_fract_y
_atom_site_fract_z
Mg1 Mg 0.0000 0.0000 0.0000
Mg2 Mg 0.0541 0.4283 0.8721
Mg3 Mg 0.3739 0.8083 0.2809
Mg4 Mg 0.5700 0.7754 0.8635
Mg5 Mg 0.7899 0.5287 0.5284
Mg6 Mg 0.8879 0.2166 0.2992
Si1 Si 0.0650 0.0672 0.6506
Si2 Si 0.2102 0.7553 0.6333
Si3 Si 0.3324 0.3414 0.4604
Si4 Si 0.4371 0.4625 0.1406
Si5 Si 0.4732 0.1820 0.0689
Si6 Si 0.5532 0.2024 0.7662
Si7 Si 0.7668 0.8879 0.4938
Si8 Si 0.9410 0.6403 0.1263

Most stable structure, least stable structure: *a*, *b*.

*a*
# GGA-PBE Mg3Si4, optimized geometry
# * crystal system: triclinic
# * M_tot: 0.0 μB/cell
data_Mg3Si4
_space_group_name_H-M_alt 'P 1'
_space_group_IT_number 1
_cell_length_a 5.3470
_cell_length_b 5.9748
_cell_length_c 8.4607
_cell_angle_alpha 70.31
_cell_angle_beta 83.95
_cell_angle_gamma 78.93
loop_
_space_group_symop_operation_xyz
'x,y,z'
loop_
_atom_site_label
_atom_site_type_symbol
_atom_site_fract_x
_atom_site_fract_y
_atom_site_fract_z
Mg1 Mg 0.0000 0.0000 0.0000
Mg2 Mg 0.0023 0.5159 0.9852
Mg3 Mg 0.2926 0.1531 0.5619
Mg4 Mg 0.3041 0.6509 0.5599
Mg5 Mg 0.4785 0.2315 0.8762
Mg6 Mg 0.7842 0.8764 0.3867
Si1 Si 0.1539 0.5584 0.2739
Si2 Si 0.2683 0.0568 0.2515
Si3 Si 0.4648 0.7557 0.8309
Si4 Si 0.5380 0.7684 0.1188
Si5 Si 0.5847 0.3329 0.1867
Si6 Si 0.7757 0.3483 0.4424
Si7 Si 0.8407 0.9414 0.6900
Si8 Si 0.8711 0.4353 0.7014

*b*
# GGA-PBE Mg3Si4, optimized geometry
# * crystal system: triclinic
# * M_tot: 0.0 μB/cell
data_Mg3Si4
_space_group_name_H-M_alt 'P 1'
_space_group_IT_number 1
_cell_length_a 6.0481
_cell_length_b 6.6568
_cell_length_c 7.6793
_cell_angle_alpha 107.38
_cell_angle_beta 104.60
_cell_angle_gamma 105.48
loop_
_space_group_symop_operation_xyz
'x,y,z'
loop_
_atom_site_label
_atom_site_type_symbol
_atom_site_fract_x
_atom_site_fract_y
_atom_site_fract_z
Mg1 Mg 0.0000 0.0000 0.0000
Mg2 Mg 0.0106 0.6592 0.6246
Mg3 Mg 0.2665 0.6983 0.1279
Mg4 Mg 0.5267 0.5368 0.7649
Mg5 Mg 0.5573 0.9483 0.6238
Mg6 Mg 0.6332 0.1849 0.3630
Si1 Si 0.1224 0.0000 0.3885
Si2 Si 0.1307 0.3607 0.3576
Si3 Si 0.2039 0.1320 0.7362
Si4 Si 0.4421 0.9963 0.9470
Si5 Si 0.5444 0.5647 0.3891
Si6 Si 0.7382 0.6830 0.1706
Si7 Si 0.8188 0.3383 0.0660
Si8 Si 0.9456 0.3445 0.7929

*c*
# GGA-PBE Mg3Si4, optimized geometry
# * crystal system: triclinic
# * M_tot: 0.0 μB/cell
data_Mg3Si4
_space_group_name_H-M_alt 'P 1'
_space_group_IT_number 1
_cell_length_a 5.1031
_cell_length_b 6.2167
_cell_length_c 8.6024
_cell_angle_alpha 110.44
_cell_angle_beta 92.86
_cell_angle_gamma 93.95
loop_
_space_group_symop_operation_xyz
'x,y,z'
loop_
_atom_site_label
_atom_site_type_symbol
_atom_site_fract_x
_atom_site_fract_y
_atom_site_fract_z
Mg1 Mg 0.0000 0.0000 0.0000
Mg2 Mg 0.0553 0.4637 0.9194
Mg3 Mg 0.2324 0.0456 0.5753
Mg4 Mg 0.5377 0.2907 0.0640
Mg5 Mg 0.6366 0.6931 0.3898
Mg6 Mg 0.7419 0.1995 0.4049
Si1 Si 0.0592 0.4310 0.2292
Si2 Si 0.1369 0.8224 0.2376
Si3 Si 0.2546 0.4371 0.4953
Si4 Si 0.4023 0.8386 0.8148
Si5 Si 0.5519 0.4798 0.8084
Si6 Si 0.5663 0.8108 0.1048
Si7 Si 0.7510 0.0347 0.7036
Si8 Si 0.9322 0.6557 0.6740

*d*
# GGA-PBE Mg3Si4, optimized geometry
# * crystal system: triclinic
# * M_tot: 0.0 μB/cell
data_Mg3Si4
_space_group_name_H-M_alt 'P 1'
_space_group_IT_number 1
_cell_length_a 5.6677
_cell_length_b 7.4252
_cell_length_c 7.5674
_cell_angle_alpha 114.52
_cell_angle_beta 100.00
_cell_angle_gamma 106.88
loop_
_space_group_symop_operation_xyz
'x,y,z'
loop_
_atom_site_label
_atom_site_type_symbol
_atom_site_fract_x
_atom_site_fract_y
_atom_site_fract_z
Mg1 Mg 0.0000 0.0000 0.0000
Mg2 Mg 0.0658 0.6533 0.4709
Mg3 Mg 0.1586 0.2271 0.5099
Mg4 Mg 0.4256 0.4356 0.2685
Mg5 Mg 0.5504 0.1803 0.8576
Mg6 Mg 0.6779 0.7137 0.1194
Si1 Si 0.1163 0.2951 0.8781
Si2 Si 0.1450 0.6688 0.0976
Si3 Si 0.3201 0.7970 0.8869
Si4 Si 0.4888 0.0261 0.4252
Si5 Si 0.5639 0.6474 0.6778
Si6 Si 0.7051 0.1740 0.2439
Si7 Si 0.7776 0.8979 0.5662
Si8 Si 0.8395 0.4401 0.7067

Most stable structure, least stable structure: *b*, *a*.